# V3H4O8 | Materials Project | PBE+U | optimized geometry
data_V3H4O8
_symmetry_space_group_name_H-M 'C 1 m 1'
_symmetry_Int_Tables_number 8
_cell_length_a 17.686
_cell_length_b 3.759
_cell_length_c 5.823
_cell_angle_alpha 90.00
_cell_angle_beta 96.83
_cell_angle_gamma 90.00
loop_
_symmetry_equiv_pos_as_xyz
'x,y,z'
'x,-y,z'
'x+1/2,y+1/2,z'
'x+1/2,-y+1/2,z'
loop_
_atom_site_label
_atom_site_fract_x
_atom_site_fract_y
_atom_site_fract_z
V1 0.000 0.000 0.000
V2 0.111 0.500 0.295
V3 0.301 0.500 0.123
H1 0.016 0.000 0.561
H2 0.096 0.500 0.737
H3 0.309 0.500 0.599
H4 0.397 0.500 0.535
O1 0.042 0.500 0.005
O2 0.079 0.000 0.267
O3 0.125 0.500 0.602
O4 0.205 0.500 0.214
O5 0.280 0.500 0.837
O6 0.341 0.500 0.463
O7 0.414 0.500 0.101
O8 0.478 0.500 0.669
# Calculated total energy in eV/f.u.: -96.58
# Energy of formation in eV per atom: -1.78
# Offset from the most stable computed form in eV/f.u.: 0.000
# Total magnetic moment in μB per atom: 0.200